{
  "formula": "Li9Mn7O16",
  "functional": "GGA+U",
  "state": "relaxed",
  "lattice": [[-2.637, -5.580, 3.205], [0.147, -5.734, 3.931], [-3.031, 7.316, 13.181]],
  "species": ["Mn", "Mn", "Mn", "Mn", "Mn", "Mn", "Mn", "Li", "Li", "Li", "Li", "Li", "Li", "Li", "Li", "Li", "O", "O", "O", "O", "O", "O", "O", "O", "O", "O", "O", "O", "O", "O", "O", "O"],
  "frac_coords": [[0.000, 0.000, 0.000], [0.885, 0.885, 0.380], [0.746, 0.746, 0.746], [0.254, 0.254, 0.254], [0.115, 0.115, 0.620], [0.373, 0.373, 0.874], [0.627, 0.627, 0.126], [0.444, 0.444, 0.683], [0.061, 0.061, 0.812], [0.556, 0.556, 0.317], [0.939, 0.939, 0.188], [0.687, 0.687, 0.938], [0.500, 0.500, 0.500], [0.186, 0.186, 0.439], [0.814, 0.814, 0.561], [0.313, 0.313, 0.062], [0.468, 0.468, 0.085], [0.904, 0.904, 0.790], [0.096, 0.096, 0.210], [0.842, 0.842, 0.959], [0.217, 0.217, 0.832], [0.014, 0.014, 0.402], [0.654, 0.654, 0.539], [0.783, 0.783, 0.168], [0.346, 0.346, 0.461], [0.594, 0.594, 0.707], [0.986, 0.986, 0.598], [0.158, 0.158, 0.041], [0.731, 0.731, 0.341], [0.406, 0.406, 0.293], [0.532, 0.532, 0.915], [0.269, 0.269, 0.659]],
  "total_magnetization_mub_per_fu": 26.0,
  "delta_e_f_kj_per_mol_fu": -6565,
  "polymorph_energy_ev_per_atom": 0.018,
  "energy_mp2020_ev_per_atom": -7.141,
  "e_tot_ev_per_cell": -205.9
}

***

{
  "formula": "CsYW2O8",
  "functional": "GGA+U",
  "state": "relaxed",
  "lattice": [[5.379, 5.515, 0.000], [-5.379, 5.515, 0.000], [0.000, 4.872, 5.797]],
  "species": ["Y", "Y", "O", "O", "O", "O", "O", "O", "O", "O", "O", "O", "O", "O", "O", "O", "O", "O", "W", "W", "W", "W", "Cs", "Cs"],
  "frac_coords": [[0.777, 0.223, 0.750], [0.223, 0.777, 0.250], [0.254, 0.379, 0.933], [0.051, 0.223, 0.797], [0.949, 0.777, 0.203], [0.592, 0.373, 0.964], [0.373, 0.592, 0.464], [0.621, 0.746, 0.567], [0.223, 0.051, 0.297], [0.777, 0.949, 0.703], [0.369, 0.061, 0.874], [0.746, 0.621, 0.067], [0.631, 0.939, 0.126], [0.408, 0.627, 0.036], [0.379, 0.254, 0.433], [0.939, 0.631, 0.626], [0.627, 0.408, 0.536], [0.061, 0.369, 0.374], [0.686, 0.698, 0.286], [0.314, 0.302, 0.714], [0.698, 0.686, 0.786], [0.302, 0.314, 0.214], [0.198, 0.802, 0.750], [0.802, 0.198, 0.250]],
  "total_magnetization_mub_per_fu": 0.0,
  "delta_e_f_kj_per_mol_fu": -3056,
  "energy_mp2020_ev_per_atom": -8.711,
  "e_tot_ev_per_cell": -180.3
}

***

{
  "formula": "Ti2CrP3O12",
  "functional": "GGA+U",
  "state": "relaxed",
  "lattice": [[-5.582, -0.388, -6.684], [-8.306, -2.294, 1.316], [-6.379, 5.891, -0.769]],
  "species": ["O", "O", "O", "O", "O", "O", "O", "O", "O", "O", "O", "O", "O", "O", "O", "O", "O", "O", "O", "O", "O", "O", "O", "O", "Cr", "Cr", "P", "P", "P", "P", "P", "P", "Ti", "Ti", "Ti", "Ti"],
  "frac_coords": [[0.583, 0.442, 0.232], [0.622, 0.003, 0.803], [0.997, 0.197, 0.378], [0.232, 0.583, 0.442], [0.417, 0.558, 0.768], [0.122, 0.303, 0.503], [0.442, 0.232, 0.583], [0.268, 0.058, 0.917], [0.058, 0.917, 0.268], [0.197, 0.378, 0.997], [0.558, 0.768, 0.417], [0.803, 0.622, 0.003], [0.768, 0.417, 0.558], [0.003, 0.803, 0.622], [0.497, 0.878, 0.697], [0.303, 0.503, 0.122], [0.378, 0.997, 0.197], [0.083, 0.732, 0.942], [0.942, 0.083, 0.732], [0.503, 0.122, 0.303], [0.878, 0.697, 0.497], [0.917, 0.268, 0.058], [0.697, 0.497, 0.878], [0.732, 0.942, 0.083], [0.500, 0.500, 0.500], [0.000, 0.000, 0.000], [0.541, 0.959, 0.250], [0.750, 0.459, 0.041], [0.959, 0.250, 0.541], [0.041, 0.750, 0.459], [0.459, 0.041, 0.750], [0.250, 0.541, 0.959], [0.856, 0.856, 0.856], [0.356, 0.356, 0.356], [0.644, 0.644, 0.644], [0.144, 0.144, 0.144]],
  "total_magnetization_mub_per_fu": 4.6,
  "delta_e_f_kj_per_mol_fu": -4971,
  "energy_mp2020_ev_per_atom": -8.477,
  "e_tot_ev_per_cell": -284.7
}

***

{
  "formula": "Nb3VF6",
  "functional": "GGA+U",
  "state": "relaxed",
  "lattice": [[4.963, -0.673, -0.895], [-2.201, -4.835, 5.566], [-3.155, -5.536, -4.947]],
  "species": ["V", "F", "F", "F", "F", "F", "F", "Nb", "Nb", "Nb"],
  "frac_coords": [[0.000, 0.000, 0.000], [0.144, 0.775, 0.036], [0.062, 0.014, 0.262], [0.856, 0.225, 0.964], [0.369, 0.220, 0.004], [0.631, 0.780, 0.996], [0.938, 0.986, 0.738], [0.000, 0.000, 0.500], [0.500, 0.500, 0.000], [0.000, 0.500, 0.000]],
  "total_magnetization_mub_per_fu": 6.1,
  "delta_e_f_kj_per_mol_fu": -1567,
  "polymorph_energy_ev_per_atom": 0.000,
  "energy_mp2020_ev_per_atom": -6.711,
  "e_tot_ev_per_cell": -62.6
}

***

{
  "formula": "Bi2MoO6",
  "functional": "GGA+U",
  "state": "relaxed",
  "lattice": [[22.855, 0.000, 0.000], [0.000, 5.656, 0.000], [0.000, 0.163, 17.488]],
  "species": ["O", "O", "O", "O", "O", "O", "O", "O", "O", "O", "O", "O", "O", "O", "O", "O", "O", "O", "O", "O", "O", "O", "O", "O", "O", "O", "O", "O", "O", "O", "O", "O", "O", "O", "O", "O", "O", "O", "O", "O", "O", "O", "O", "O", "O", "O", "O", "O", "O", "O", "O", "O", "O", "O", "O", "O", "O", "O", "O", "O", "O", "O", "O", "O", "O", "O", "O", "O", "O", "O", "O", "O", "O", "O", "O", "O", "O", "O", "O", "O", "O", "O", "O", "O", "O", "O", "O", "O", "O", "O", "O", "O", "O", "O", "O", "O", "Bi", "Bi", "Bi", "Bi", "Bi", "Bi", "Bi", "Bi", "Bi", "Bi", "Bi", "Bi", "Bi", "Bi", "Bi", "Bi", "Bi", "Bi", "Bi", "Bi", "Bi", "Bi", "Bi", "Bi", "Bi", "Bi", "Bi", "Bi", "Bi", "Bi", "Bi", "Bi", "Mo", "Mo", "Mo", "Mo", "Mo", "Mo", "Mo", "Mo", "Mo", "Mo", "Mo", "Mo", "Mo", "Mo", "Mo", "Mo"],
  "frac_coords": [[0.729, 0.873, 0.839], [0.118, 0.745, 0.674], [0.907, 0.802, 0.511], [0.752, 0.746, 0.679], [0.852, 0.892, 0.197], [0.347, 0.102, 0.540], [0.882, 0.255, 0.326], [0.526, 0.241, 0.819], [0.357, 0.260, 0.041], [0.492, 0.786, 0.867], [0.022, 0.733, 0.972], [0.252, 0.754, 0.321], [0.115, 0.379, 0.292], [0.361, 0.780, 0.128], [0.618, 0.755, 0.326], [0.749, 0.228, 0.512], [0.227, 0.389, 0.011], [0.104, 0.630, 0.850], [0.507, 0.875, 0.705], [0.540, 0.758, 0.536], [0.474, 0.759, 0.181], [0.008, 0.125, 0.364], [0.249, 0.272, 0.488], [0.153, 0.602, 0.540], [0.756, 0.249, 0.153], [0.993, 0.375, 0.705], [0.896, 0.370, 0.150], [0.847, 0.398, 0.460], [0.648, 0.392, 0.197], [0.593, 0.302, 0.511], [0.382, 0.245, 0.674], [0.615, 0.121, 0.708], [0.750, 0.266, 0.332], [0.148, 0.108, 0.803], [0.604, 0.870, 0.150], [0.508, 0.214, 0.133], [0.251, 0.772, 0.488], [0.117, 0.247, 0.663], [0.508, 0.375, 0.636], [0.750, 0.766, 0.332], [0.617, 0.253, 0.337], [0.900, 0.236, 0.813], [0.633, 0.589, 0.638], [0.256, 0.251, 0.847], [0.008, 0.286, 0.867], [0.600, 0.736, 0.813], [0.273, 0.889, 0.011], [0.385, 0.879, 0.292], [0.367, 0.411, 0.362], [0.093, 0.198, 0.489], [0.383, 0.747, 0.663], [0.133, 0.911, 0.362], [0.601, 0.193, 0.024], [0.101, 0.307, 0.976], [0.974, 0.741, 0.819], [0.244, 0.751, 0.847], [0.352, 0.608, 0.803], [0.100, 0.764, 0.187], [0.026, 0.259, 0.181], [0.748, 0.246, 0.679], [0.007, 0.625, 0.295], [0.867, 0.089, 0.638], [0.885, 0.621, 0.708], [0.040, 0.742, 0.464], [0.522, 0.767, 0.028], [0.250, 0.734, 0.668], [0.460, 0.242, 0.464], [0.407, 0.698, 0.489], [0.248, 0.254, 0.321], [0.861, 0.720, 0.872], [0.639, 0.220, 0.872], [0.493, 0.125, 0.295], [0.899, 0.693, 0.024], [0.492, 0.625, 0.364], [0.139, 0.280, 0.128], [0.883, 0.753, 0.337], [0.992, 0.714, 0.133], [0.478, 0.233, 0.972], [0.396, 0.130, 0.850], [0.773, 0.611, 0.989], [0.653, 0.898, 0.460], [0.960, 0.258, 0.536], [0.771, 0.373, 0.839], [0.744, 0.749, 0.153], [0.857, 0.240, 0.959], [0.399, 0.807, 0.976], [0.992, 0.875, 0.636], [0.751, 0.728, 0.512], [0.250, 0.234, 0.668], [0.143, 0.760, 0.041], [0.271, 0.127, 0.161], [0.643, 0.740, 0.959], [0.400, 0.264, 0.187], [0.978, 0.267, 0.028], [0.727, 0.111, 0.989], [0.229, 0.627, 0.161], [0.311, 0.942, 0.743], [0.930, 0.998, 0.260], [0.695, 0.481, 0.093], [0.306, 0.026, 0.427], [0.070, 0.505, 0.590], [0.689, 0.058, 0.257], [0.805, 0.000, 0.742], [0.430, 0.005, 0.590], [0.806, 0.474, 0.573], [0.064, 0.000, 0.089], [0.195, 0.019, 0.907], [0.694, 0.974, 0.573], [0.570, 0.995, 0.410], [0.308, 0.435, 0.590], [0.692, 0.565, 0.410], [0.811, 0.558, 0.257], [0.936, 0.000, 0.911], [0.070, 0.002, 0.740], [0.305, 0.519, 0.907], [0.189, 0.442, 0.743], [0.195, 0.000, 0.258], [0.805, 0.981, 0.093], [0.808, 0.065, 0.410], [0.430, 0.502, 0.740], [0.570, 0.498, 0.260], [0.194, 0.526, 0.427], [0.930, 0.495, 0.410], [0.305, 0.500, 0.258], [0.192, 0.935, 0.590], [0.695, 0.500, 0.742], [0.564, 0.500, 0.911], [0.436, 0.500, 0.089], [0.683, 0.985, 0.916], [0.061, 0.507, 0.233], [0.933, 0.002, 0.583], [0.939, 0.493, 0.767], [0.056, 0.494, 0.918], [0.317, 0.015, 0.084], [0.183, 0.515, 0.084], [0.561, 0.993, 0.767], [0.556, 0.006, 0.082], [0.433, 0.498, 0.417], [0.567, 0.502, 0.583], [0.439, 0.007, 0.233], [0.067, 0.998, 0.417], [0.944, 0.506, 0.082], [0.817, 0.485, 0.916], [0.444, 0.994, 0.918]],
  "total_magnetization_mub_per_fu": 0.0,
  "delta_e_f_kj_per_mol_fu": -1609,
  "energy_mp2020_ev_per_atom": -7.221,
  "e_tot_ev_per_cell": -922.7
}

***

{
  "formula": "Cr2Hg2H2O9",
  "functional": "GGA+U",
  "state": "relaxed",
  "lattice": [[2.665, 6.029, 0.000], [-2.665, 6.029, 0.000], [0.000, 4.374, 12.788]],
  "species": ["O", "O", "O", "O", "O", "O", "O", "O", "O", "O", "O", "O", "O", "O", "O", "O", "O", "O", "H", "H", "H", "H", "Hg", "Hg", "Hg", "Hg", "Cr", "Cr", "Cr", "Cr"],
  "frac_coords": [[0.262, 0.908, 0.013], [0.738, 0.092, 0.987], [0.908, 0.262, 0.513], [0.590, 0.311, 0.165], [0.612, 0.878, 0.168], [0.122, 0.388, 0.332], [0.311, 0.590, 0.665], [0.798, 0.604, 0.927], [0.410, 0.689, 0.835], [0.689, 0.410, 0.335], [0.388, 0.122, 0.832], [0.878, 0.612, 0.668], [0.396, 0.202, 0.573], [0.092, 0.738, 0.487], [0.855, 0.145, 0.750], [0.202, 0.396, 0.073], [0.145, 0.855, 0.250], [0.604, 0.798, 0.427], [0.776, 0.294, 0.789], [0.224, 0.706, 0.211], [0.294, 0.776, 0.289], [0.706, 0.224, 0.711], [0.098, 0.654, 0.875], [0.654, 0.098, 0.375], [0.346, 0.902, 0.625], [0.902, 0.346, 0.125], [0.839, 0.459, 0.402], [0.541, 0.161, 0.098], [0.161, 0.541, 0.598], [0.459, 0.839, 0.902]],
  "total_magnetization_mub_per_fu": 0.0,
  "delta_e_f_kj_per_mol_fu": -1853,
  "energy_mp2020_ev_per_atom": -6.029,
  "e_tot_ev_per_cell": -160.5
}

***

{
  "formula": "BaEuFe2O5",
  "functional": "GGA+U",
  "state": "relaxed",
  "lattice": [[-0.236, 3.934, -0.507], [-2.520, 0.269, 3.084], [5.977, 1.003, 4.820]],
  "species": ["Eu", "Fe", "Fe", "O", "O", "O", "O", "O", "Ba"],
  "frac_coords": [[0.000, 0.999, 0.503], [0.500, 0.500, 0.738], [0.501, 0.500, 0.250], [0.999, 0.500, 0.305], [0.500, 0.999, 0.305], [0.500, 0.001, 0.702], [0.001, 0.500, 0.702], [0.499, 0.499, 0.007], [0.001, 0.001, 0.989]],
  "total_magnetization_mub_per_fu": 15.8,
  "delta_e_f_kj_per_mol_fu": -2054,
  "polymorph_energy_ev_per_atom": 0.008,
  "energy_mp2020_ev_per_atom": -8.350,
  "e_tot_ev_per_cell": -67.2
}

***

{
  "formula": "Na4Al3CrP8O28",
  "functional": "GGA+U",
  "state": "relaxed",
  "lattice": [[7.290, 0.000, 0.000], [-0.017, 7.870, 0.000], [-3.504, -0.013, 8.777]],
  "species": ["O", "O", "O", "O", "O", "O", "O", "O", "O", "O", "O", "O", "O", "O", "O", "O", "O", "O", "O", "O", "O", "O", "O", "O", "O", "O", "O", "O", "Na", "Na", "Na", "Na", "Al", "Al", "Al", "P", "P", "P", "P", "P", "P", "P", "P", "Cr"],
  "frac_coords": [[0.685, 0.796, 0.616], [0.475, 0.414, 0.157], [0.117, 0.150, 0.555], [0.122, 0.354, 0.061], [0.815, 0.365, 0.115], [0.688, 0.688, 0.121], [0.807, 0.140, 0.603], [0.356, 0.395, 0.600], [0.879, 0.650, 0.941], [0.526, 0.584, 0.844], [0.526, 0.914, 0.343], [0.312, 0.193, 0.380], [0.357, 0.107, 0.102], [0.190, 0.633, 0.891], [0.002, 0.584, 0.353], [0.808, 0.299, 0.379], [0.194, 0.705, 0.619], [0.880, 0.852, 0.441], [0.806, 0.214, 0.882], [0.639, 0.892, 0.906], [0.464, 0.085, 0.655], [0.313, 0.308, 0.882], [0.195, 0.794, 0.122], [0.000, 0.418, 0.646], [0.014, 0.915, 0.856], [0.188, 0.864, 0.389], [0.642, 0.605, 0.394], [0.999, 0.084, 0.146], [0.293, 0.522, 0.298], [0.707, 0.022, 0.202], [0.708, 0.477, 0.702], [0.293, 0.978, 0.798], [0.739, 0.491, 0.251], [0.261, 0.509, 0.749], [0.261, 0.991, 0.249], [0.927, 0.247, 0.051], [0.925, 0.260, 0.546], [0.329, 0.293, 0.047], [0.078, 0.754, 0.954], [0.325, 0.210, 0.544], [0.671, 0.705, 0.956], [0.075, 0.744, 0.452], [0.671, 0.790, 0.451], [0.740, 0.006, 0.753]],
  "total_magnetization_mub_per_fu": 3.0,
  "delta_e_f_kj_per_mol_fu": -12047,
  "energy_mp2020_ev_per_atom": -7.566,
  "e_tot_ev_per_cell": -311.7
}

***

These records have volume values of 300, 172, 232, 294, 141, 205, 123, 504 Å³/f.u., in the order they appear.